DFT (PBE with a Hubbard U) results for a relaxed LiVPO4 crystal.

## Properties
DFT total energy = -0.26341 Ha/atom
E (MP2020) = -7.803 eV per atom
Energy relative to the lowest polymorph listed for this composition = 0.011 eV per atom

Structure (CIF):
```
data_LiVPO4
_chemical_formula_sum 'Li12 V12 P12 O48'
_cell_length_a 18.918
_cell_length_b 8.482
_cell_length_c 5.564
_cell_angle_alpha 90.00
_cell_angle_beta 90.00
_cell_angle_gamma 90.00
_symmetry_space_group_name_H-M 'P 1'
_symmetry_Int_Tables_number 1
_symmetry_space_group_name_Hall 'P 1'
loop_
_atom_site_label
_atom_site_fract_x
_atom_site_fract_y
_atom_site_fract_z
Li1 0.080 0.081 0.000
Li2 0.087 0.582 0.466
Li3 0.247 0.418 0.977
Li4 0.253 0.918 0.477
Li5 0.413 0.082 0.966
Li6 0.420 0.581 0.500
Li7 0.580 0.419 0.000
Li8 0.587 0.918 0.466
Li9 0.747 0.082 0.977
Li10 0.753 0.582 0.477
Li11 0.913 0.418 0.966
Li12 0.920 0.919 0.500
V1 0.000 0.252 0.481
V2 0.000 0.748 0.981
V3 0.166 0.248 0.482
V4 0.167 0.751 0.984
V5 0.333 0.251 0.484
V6 0.334 0.748 0.982
V7 0.500 0.248 0.481
V8 0.500 0.752 0.981
V9 0.666 0.252 0.482
V10 0.667 0.749 0.984
V11 0.833 0.249 0.484
V12 0.834 0.752 0.982
P1 0.081 0.397 0.978
P2 0.085 0.897 0.485
P3 0.248 0.102 0.983
P4 0.252 0.602 0.483
P5 0.415 0.397 0.985
P6 0.419 0.897 0.478
P7 0.581 0.103 0.978
P8 0.585 0.603 0.485
P9 0.748 0.398 0.983
P10 0.752 0.898 0.483
P11 0.915 0.103 0.985
P12 0.919 0.603 0.478
O1 0.013 0.495 0.976
O2 0.019 0.001 0.484
O3 0.082 0.283 0.205
O4 0.083 0.282 0.755
O5 0.084 0.782 0.708
O6 0.084 0.784 0.258
O7 0.148 0.500 0.981
O8 0.153 0.995 0.485
O9 0.180 0.004 0.986
O10 0.185 0.499 0.479
O11 0.249 0.218 0.760
O12 0.250 0.215 0.210
O13 0.250 0.715 0.710
O14 0.251 0.718 0.260
O15 0.315 0.999 0.979
O16 0.320 0.504 0.486
O17 0.347 0.495 0.985
O18 0.352 0.000 0.481
O19 0.416 0.282 0.208
O20 0.416 0.284 0.758
O21 0.417 0.782 0.255
O22 0.418 0.783 0.705
O23 0.481 0.501 0.984
O24 0.487 0.995 0.476
O25 0.513 0.005 0.976
O26 0.519 0.499 0.484
O27 0.582 0.217 0.205
O28 0.583 0.218 0.755
O29 0.584 0.716 0.258
O30 0.584 0.718 0.708
O31 0.648 0.000 0.981
O32 0.653 0.505 0.485
O33 0.680 0.496 0.986
O34 0.685 0.001 0.479
O35 0.749 0.282 0.760
O36 0.750 0.285 0.210
O37 0.750 0.785 0.710
O38 0.751 0.782 0.260
O39 0.815 0.501 0.979
O40 0.820 0.996 0.486
O41 0.847 0.005 0.985
O42 0.852 0.500 0.481
O43 0.916 0.216 0.758
O44 0.916 0.218 0.208
O45 0.917 0.718 0.255
O46 0.918 0.717 0.705
O47 0.981 0.999 0.984
O48 0.987 0.505 0.476
```


DFT (PBE with a Hubbard U) results for a relaxed SrMnSe4O12 crystal.

## Properties
DFT total energy = -0.19665 Ha/atom
E (MP2020) = -5.902 eV per atom

Structure (CIF):
```
data_SrMnSe4O12
_chemical_formula_sum 'Sr1 Mn1 Se4 O12'
_cell_length_a 7.474
_cell_length_b 5.720
_cell_length_c 5.720
_cell_angle_alpha 81.80
_cell_angle_beta 90.00
_cell_angle_gamma 90.00
_symmetry_space_group_name_H-M 'P 1'
_symmetry_Int_Tables_number 1
_symmetry_space_group_name_Hall 'P 1'
loop_
_atom_site_label
_atom_site_fract_x
_atom_site_fract_y
_atom_site_fract_z
Sr1 0.000 0.000 0.000
Mn1 0.500 0.415 0.415
Se1 0.256 0.484 0.951
Se2 0.256 0.951 0.484
Se3 0.744 0.484 0.951
Se4 0.744 0.951 0.484
O1 0.000 0.451 0.889
O2 0.000 0.889 0.451
O3 0.221 0.245 0.245
O4 0.262 0.096 0.715
O5 0.262 0.715 0.096
O6 0.315 0.625 0.625
O7 0.500 0.012 0.386
O8 0.500 0.386 0.012
O9 0.685 0.625 0.625
O10 0.738 0.096 0.715
O11 0.738 0.715 0.096
O12 0.779 0.245 0.245
```


DFT (PBE with a Hubbard U) results for a relaxed MnC5O4F2 crystal.

## Properties
DFT total energy = -0.25820 Ha/atom
E (MP2020) = -7.471 eV per atom

Structure (CIF):
```
data_MnC5O4F2
_chemical_formula_sum 'Mn4 C20 O16 F8'
_cell_length_a 8.223
_cell_length_b 10.959
_cell_length_c 11.890
_cell_angle_alpha 90.00
_cell_angle_beta 133.65
_cell_angle_gamma 90.00
_symmetry_space_group_name_H-M 'P 1'
_symmetry_Int_Tables_number 1
_symmetry_space_group_name_Hall 'P 1'
loop_
_atom_site_label
_atom_site_fract_x
_atom_site_fract_y
_atom_site_fract_z
Mn1 0.139 0.088 0.104
Mn2 0.139 0.412 0.604
Mn3 0.861 0.588 0.396
Mn4 0.861 0.912 0.896
C1 0.019 0.084 0.193
C2 0.019 0.416 0.693
C3 0.118 0.244 0.602
C4 0.118 0.256 0.102
C5 0.178 0.600 0.617
C6 0.178 0.900 0.117
C7 0.279 0.111 0.031
C8 0.279 0.389 0.531
C9 0.419 0.079 0.302
C10 0.419 0.421 0.802
C11 0.581 0.579 0.198
C12 0.581 0.921 0.698
C13 0.721 0.611 0.469
C14 0.721 0.889 0.969
C15 0.822 0.100 0.883
C16 0.822 0.400 0.383
C17 0.882 0.744 0.898
C18 0.882 0.756 0.398
C19 0.981 0.584 0.307
C20 0.981 0.916 0.807
O1 0.044 0.589 0.246
O2 0.044 0.911 0.746
O3 0.105 0.139 0.599
O4 0.105 0.361 0.099
O5 0.373 0.135 0.994
O6 0.373 0.365 0.494
O7 0.406 0.571 0.073
O8 0.406 0.929 0.573
O9 0.594 0.071 0.427
O10 0.594 0.429 0.927
O11 0.627 0.635 0.506
O12 0.627 0.865 0.006
O13 0.895 0.639 0.901
O14 0.895 0.861 0.401
O15 0.956 0.089 0.254
O16 0.956 0.411 0.754
F1 0.202 0.661 0.729
F2 0.202 0.839 0.229
F3 0.349 0.646 0.633
F4 0.349 0.854 0.133
F5 0.651 0.146 0.867
F6 0.651 0.354 0.367
F7 0.798 0.161 0.771
F8 0.798 0.339 0.271
```


DFT (PBE with a Hubbard U) results for a relaxed ZnMo3P3O13 crystal.

## Properties
DFT total energy = -0.25941 Ha/atom
E (MP2020) = -7.986 eV per atom

Structure (CIF):
```
data_ZnMo3P3O13
_chemical_formula_sum 'Zn2 Mo6 P6 O26'
_cell_length_a 7.744
_cell_length_b 6.662
_cell_length_c 10.802
_cell_angle_alpha 90.00
_cell_angle_beta 99.46
_cell_angle_gamma 90.00
_symmetry_space_group_name_H-M 'P 1'
_symmetry_Int_Tables_number 1
_symmetry_space_group_name_Hall 'P 1'
loop_
_atom_site_label
_atom_site_fract_x
_atom_site_fract_y
_atom_site_fract_z
Zn1 0.087 0.250 0.149
Zn2 0.913 0.750 0.851
Mo1 0.142 0.250 0.791
Mo2 0.269 0.750 0.442
Mo3 0.500 0.000 0.000
Mo4 0.500 0.500 0.000
Mo5 0.731 0.250 0.558
Mo6 0.858 0.750 0.209
P1 0.183 0.750 0.113
P2 0.235 0.750 0.767
P3 0.282 0.250 0.504
P4 0.718 0.750 0.496
P5 0.765 0.250 0.233
P6 0.817 0.250 0.887
O1 0.009 0.250 0.964
O2 0.112 0.572 0.791
O3 0.112 0.928 0.791
O4 0.145 0.750 0.250
O5 0.149 0.250 0.598
O6 0.247 0.065 0.416
O7 0.247 0.435 0.416
O8 0.274 0.550 0.091
O9 0.274 0.950 0.091
O10 0.295 0.750 0.641
O11 0.385 0.250 0.899
O12 0.400 0.750 0.874
O13 0.469 0.250 0.581
O14 0.531 0.750 0.419
O15 0.600 0.250 0.126
O16 0.615 0.750 0.101
O17 0.705 0.250 0.359
O18 0.726 0.050 0.909
O19 0.726 0.450 0.909
O20 0.753 0.565 0.584
O21 0.753 0.935 0.584
O22 0.851 0.750 0.402
O23 0.855 0.250 0.750
O24 0.888 0.072 0.209
O25 0.888 0.428 0.209
O26 0.991 0.750 0.036
```


DFT (PBE with a Hubbard U) results for a relaxed Ba2CaMn2P4O14 crystal.

## Properties
DFT total energy = -0.26375 Ha/atom
E (MP2020) = -7.740 eV per atom

Structure (CIF):
```
data_Ba2CaMn2P4O14
_chemical_formula_sum 'Ba2 Ca1 Mn2 P4 O14'
_cell_length_a 5.394
_cell_length_b 7.863
_cell_length_c 10.408
_cell_angle_alpha 79.27
_cell_angle_beta 78.87
_cell_angle_gamma 89.88
_symmetry_space_group_name_H-M 'P 1'
_symmetry_Int_Tables_number 1
_symmetry_space_group_name_Hall 'P 1'
loop_
_atom_site_label
_atom_site_fract_x
_atom_site_fract_y
_atom_site_fract_z
Ba1 0.000 0.000 0.000
Ba2 0.166 0.165 0.380
Ca1 0.586 0.080 0.691
Mn1 0.254 0.721 0.268
Mn2 0.922 0.484 0.091
P1 0.457 0.314 0.980
P2 0.471 0.689 0.955
P3 0.680 0.469 0.408
P4 0.699 0.836 0.416
O1 0.209 0.290 0.086
O2 0.235 0.669 0.072
O3 0.437 0.838 0.846
O4 0.437 0.866 0.380
O5 0.438 0.486 0.349
O6 0.451 0.199 0.878
O7 0.462 0.513 0.896
O8 0.684 0.304 0.510
O9 0.694 0.295 0.042
O10 0.706 0.631 0.481
O11 0.719 0.694 0.006
O12 0.750 0.937 0.520
O13 0.917 0.873 0.292
O14 0.919 0.481 0.295
```


What did the fifth record say?
DFT (PBE with a Hubbard U) results for a relaxed Ba2CaMn2P4O14 crystal.

## Properties
DFT total energy = -0.26375 Ha/atom
E (MP2020) = -7.740 eV per atom

Structure (CIF):
```
data_Ba2CaMn2P4O14
_chemical_formula_sum 'Ba2 Ca1 Mn2 P4 O14'
_cell_length_a 5.394
_cell_length_b 7.863
_cell_length_c 10.408
_cell_angle_alpha 79.27
_cell_angle_beta 78.87
_cell_angle_gamma 89.88
_symmetry_space_group_name_H-M 'P 1'
_symmetry_Int_Tables_number 1
_symmetry_space_group_name_Hall 'P 1'
loop_
_atom_site_label
_atom_site_fract_x
_atom_site_fract_y
_atom_site_fract_z
Ba1 0.000 0.000 0.000
Ba2 0.166 0.165 0.380
Ca1 0.586 0.080 0.691
Mn1 0.254 0.721 0.268
Mn2 0.922 0.484 0.091
P1 0.457 0.314 0.980
P2 0.471 0.689 0.955
P3 0.680 0.469 0.408
P4 0.699 0.836 0.416
O1 0.209 0.290 0.086
O2 0.235 0.669 0.072
O3 0.437 0.838 0.846
O4 0.437 0.866 0.380
O5 0.438 0.486 0.349
O6 0.451 0.199 0.878
O7 0.462 0.513 0.896
O8 0.684 0.304 0.510
O9 0.694 0.295 0.042
O10 0.706 0.631 0.481
O11 0.719 0.694 0.006
O12 0.750 0.937 0.520
O13 0.917 0.873 0.292
O14 0.919 0.481 0.295
```


Repeat the third record exactly.
DFT (PBE with a Hubbard U) results for a relaxed MnC5O4F2 crystal.

## Properties
DFT total energy = -0.25820 Ha/atom
E (MP2020) = -7.471 eV per atom

Structure (CIF):
```
data_MnC5O4F2
_chemical_formula_sum 'Mn4 C20 O16 F8'
_cell_length_a 8.223
_cell_length_b 10.959
_cell_length_c 11.890
_cell_angle_alpha 90.00
_cell_angle_beta 133.65
_cell_angle_gamma 90.00
_symmetry_space_group_name_H-M 'P 1'
_symmetry_Int_Tables_number 1
_symmetry_space_group_name_Hall 'P 1'
loop_
_atom_site_label
_atom_site_fract_x
_atom_site_fract_y
_atom_site_fract_z
Mn1 0.139 0.088 0.104
Mn2 0.139 0.412 0.604
Mn3 0.861 0.588 0.396
Mn4 0.861 0.912 0.896
C1 0.019 0.084 0.193
C2 0.019 0.416 0.693
C3 0.118 0.244 0.602
C4 0.118 0.256 0.102
C5 0.178 0.600 0.617
C6 0.178 0.900 0.117
C7 0.279 0.111 0.031
C8 0.279 0.389 0.531
C9 0.419 0.079 0.302
C10 0.419 0.421 0.802
C11 0.581 0.579 0.198
C12 0.581 0.921 0.698
C13 0.721 0.611 0.469
C14 0.721 0.889 0.969
C15 0.822 0.100 0.883
C16 0.822 0.400 0.383
C17 0.882 0.744 0.898
C18 0.882 0.756 0.398
C19 0.981 0.584 0.307
C20 0.981 0.916 0.807
O1 0.044 0.589 0.246
O2 0.044 0.911 0.746
O3 0.105 0.139 0.599
O4 0.105 0.361 0.099
O5 0.373 0.135 0.994
O6 0.373 0.365 0.494
O7 0.406 0.571 0.073
O8 0.406 0.929 0.573
O9 0.594 0.071 0.427
O10 0.594 0.429 0.927
O11 0.627 0.635 0.506
O12 0.627 0.865 0.006
O13 0.895 0.639 0.901
O14 0.895 0.861 0.401
O15 0.956 0.089 0.254
O16 0.956 0.411 0.754
F1 0.202 0.661 0.729
F2 0.202 0.839 0.229
F3 0.349 0.646 0.633
F4 0.349 0.854 0.133
F5 0.651 0.146 0.867
F6 0.651 0.354 0.367
F7 0.798 0.161 0.771
F8 0.798 0.339 0.271
```


What did the fourth record say?
DFT (PBE with a Hubbard U) results for a relaxed ZnMo3P3O13 crystal.

## Properties
DFT total energy = -0.25941 Ha/atom
E (MP2020) = -7.986 eV per atom

Structure (CIF):
```
data_ZnMo3P3O13
_chemical_formula_sum 'Zn2 Mo6 P6 O26'
_cell_length_a 7.744
_cell_length_b 6.662
_cell_length_c 10.802
_cell_angle_alpha 90.00
_cell_angle_beta 99.46
_cell_angle_gamma 90.00
_symmetry_space_group_name_H-M 'P 1'
_symmetry_Int_Tables_number 1
_symmetry_space_group_name_Hall 'P 1'
loop_
_atom_site_label
_atom_site_fract_x
_atom_site_fract_y
_atom_site_fract_z
Zn1 0.087 0.250 0.149
Zn2 0.913 0.750 0.851
Mo1 0.142 0.250 0.791
Mo2 0.269 0.750 0.442
Mo3 0.500 0.000 0.000
Mo4 0.500 0.500 0.000
Mo5 0.731 0.250 0.558
Mo6 0.858 0.750 0.209
P1 0.183 0.750 0.113
P2 0.235 0.750 0.767
P3 0.282 0.250 0.504
P4 0.718 0.750 0.496
P5 0.765 0.250 0.233
P6 0.817 0.250 0.887
O1 0.009 0.250 0.964
O2 0.112 0.572 0.791
O3 0.112 0.928 0.791
O4 0.145 0.750 0.250
O5 0.149 0.250 0.598
O6 0.247 0.065 0.416
O7 0.247 0.435 0.416
O8 0.274 0.550 0.091
O9 0.274 0.950 0.091
O10 0.295 0.750 0.641
O11 0.385 0.250 0.899
O12 0.400 0.750 0.874
O13 0.469 0.250 0.581
O14 0.531 0.750 0.419
O15 0.600 0.250 0.126
O16 0.615 0.750 0.101
O17 0.705 0.250 0.359
O18 0.726 0.050 0.909
O19 0.726 0.450 0.909
O20 0.753 0.565 0.584
O21 0.753 0.935 0.584
O22 0.851 0.750 0.402
O23 0.855 0.250 0.750
O24 0.888 0.072 0.209
O25 0.888 0.428 0.209
O26 0.991 0.750 0.036
```


- The lowest DFT total energy belongs to which entry?
  Ba2CaMn2P4O14